An optimized crystal structure of BaMg14CoO16. Source: the Materials Project, functional PBE with a Hubbard U.

Computed properties:
offset from the most stable computed form	0.000	eV per atom
space-group type	Pmmm
E (MP2020)	-0.2278	Ha/atom
total moment	3.00	μB per formula unit

a = 8.7808 Å, b = 8.6913 Å, c = 4.5033 Å
α = 90.00°, β = 90.00°, γ = 90.00°
Last column: nearest neighbours and their distance in Å.
Atoms (fractional coordinates):
Ba 0.0000 0.5000 0.0000  6 O 2.25-2.46
Mg 0.5000 0.0000 0.0000  6 O 2.08-2.25
Mg 0.5000 0.5000 0.0000  2 O 1.93
Mg 0.0000 0.2361 0.5000  6 O 2.05-2.29
Mg 0.0000 0.7639 0.5000  6 O 2.05-2.29
Mg 0.5000 0.2470 0.5000  6 O 2.15-2.25
Mg 0.5000 0.7530 0.5000  6 O 2.15-2.25
Mg 0.2515 0.0000 0.5000  6 O 2.17-2.25
Mg 0.2647 0.5000 0.5000  5 O 2.07-2.26
Mg 0.7485 0.0000 0.5000  6 O 2.17-2.25
Mg 0.7353 0.5000 0.5000  5 O 2.07-2.26
Mg 0.2597 0.2407 0.0000  6 O 2.09-2.29
Mg 0.2597 0.7593 0.0000  6 O 2.09-2.29
Mg 0.7403 0.2407 0.0000  6 O 2.09-2.29
Mg 0.7403 0.7593 0.0000  6 O 2.09-2.29
Co 0.0000 0.0000 0.0000  2 O 1.91
O 0.2630 0.0000 0.0000  5 Mg 2.08-2.25, 1 Co 2.31
O 0.2805 0.5000 0.0000  1 Mg 1.93
O 0.7370 0.0000 0.0000  5 Mg 2.08-2.25, 1 Co 2.31
O 0.7195 0.5000 0.0000  1 Mg 1.93
O 0.2495 0.2496 0.5000  6 Mg 2.17-2.25
O 0.2495 0.7504 0.5000  6 Mg 2.17-2.25
O 0.7505 0.2496 0.5000  6 Mg 2.17-2.25
O 0.7505 0.7504 0.5000  6 Mg 2.17-2.25
O 0.0000 0.0000 0.5000  4 Mg 2.05-2.21, 2 Co 2.25
O 0.0000 0.5000 0.5000  2 Ba 2.25, 4 Mg 2.29-2.32
O 0.5000 0.0000 0.5000  6 Mg 2.15-2.25
O 0.5000 0.5000 0.5000  6 Mg 2.07-2.25
O 0.0000 0.2193 0.0000  1 Co 1.91
O 0.0000 0.7807 0.0000  1 Co 1.91
O 0.5000 0.2440 0.0000  6 Mg 2.11-2.25
O 0.5000 0.7560 0.0000  6 Mg 2.11-2.25

---

An optimized crystal structure of Na4MgNi4O10. Source: the Materials Project, functional PBE with a Hubbard U.

Computed properties:
offset from the most stable computed form	0.000	eV per atom
space-group type	P1
E (MP2020)	-0.2056	Ha/atom
total moment	2.00	μB per formula unit

a = 5.0220 Å, b = 6.3667 Å, c = 7.0402 Å
α = 109.57°, β = 96.47°, γ = 104.42°
Last column: nearest neighbours and their distance in Å.
Atoms (fractional coordinates):
Na 0.3693 0.2829 0.7494  6 O 2.29-2.42
Na 0.5741 0.7166 0.1774  6 O 2.33-2.47
Na 0.7815 0.0898 0.5479  6 O 2.30-2.48
Na 0.9816 0.5212 0.9880  6 O 2.35-2.56
Mg 0.1809 0.4038 0.3626  6 O 2.06-2.12
Ni 0.3769 0.7991 0.7640  6 O 1.90-1.94
Ni 0.9768 0.0021 0.9620  6 O 1.91-2.12
Ni 0.7764 0.6012 0.5684  6 O 1.86-1.96
Ni 0.5775 0.2089 0.1620  6 O 1.90-2.07
O 0.0689 0.9070 0.6941  3 Ni 1.92-1.96
O 0.0816 0.5017 0.6577  2 Ni 1.92-1.94, 1 Mg 2.12
O 0.2872 0.8863 0.0294  3 Ni 1.90-2.03
O 0.2904 0.3269 0.0799  2 Ni 1.90-2.09, 1 Mg 2.06
O 0.4895 0.7250 0.5064  2 Ni 1.88-1.90, 1 Mg 2.07
O 0.6622 0.6720 0.8293  3 Ni 1.90-2.12
O 0.5170 0.3033 0.4580  2 Ni 1.86-2.05, 1 Mg 2.07
O 0.6620 0.0990 0.8692  3 Ni 1.92-2.07
O 0.8584 0.5337 0.3032  2 Ni 1.89-2.03, 1 Mg 2.06
O 0.8690 0.0828 0.2216  2 Ni 1.91, 1 Mg 2.08

---

An optimized crystal structure of Ca2CuWO6. Source: the Materials Project, functional PBE with a Hubbard U.

Computed properties:
offset from the most stable computed form	0.000	eV per atom
space-group type	P2_1/c
E (MP2020)	-0.2777	Ha/atom
total moment	1.00	μB per formula unit

a = 5.7216 Å, b = 5.5096 Å, c = 9.4007 Å
α = 54.37°, β = 90.00°, γ = 90.00°
Last column: nearest neighbours and their distance in Å.
Atoms (fractional coordinates):
Ca 0.0573 0.2661 0.7472  6 O 2.36-2.62
Ca 0.5573 0.7339 0.7528  6 O 2.36-2.62
Ca 0.9427 0.7339 0.2528  6 O 2.36-2.62
Ca 0.4427 0.2661 0.2472  6 O 2.36-2.62
Cu 0.0000 0.5000 0.0000  6 O 2.02-2.18
Cu 0.5000 0.5000 0.5000  6 O 2.02-2.18
W 0.0000 0.0000 0.5000  6 O 1.95-1.96
W 0.5000 0.0000 0.0000  6 O 1.95-1.96
O 0.2814 0.7611 0.5538  1 W 1.95, 1 Cu 2.18
O 0.7814 0.2389 0.9462  1 W 1.95, 1 Cu 2.18
O 0.7186 0.2389 0.4462  1 W 1.95, 1 Cu 2.18
O 0.2186 0.7611 0.0538  1 W 1.95, 1 Cu 2.18
O 0.1890 0.3332 0.4538  1 W 1.95, 1 Cu 2.16
O 0.6890 0.6668 0.0462  1 W 1.95, 1 Cu 2.16
O 0.8110 0.6668 0.5462  1 W 1.95, 1 Cu 2.16
O 0.3110 0.3332 0.9538  1 W 1.95, 1 Cu 2.16
O 0.4674 0.1505 0.7540  1 W 1.96, 1 Cu 2.02
O 0.9674 0.8495 0.7460  1 W 1.96, 1 Cu 2.02
O 0.0326 0.1505 0.2540  1 W 1.96, 1 Cu 2.02
O 0.5326 0.8495 0.2460  1 W 1.96, 1 Cu 2.02

---

An optimized crystal structure of Li4Ti3Cr5O16. Source: the Materials Project, functional PBE with a Hubbard U.

Computed properties:
space-group type	Cm
E (MP2020)	-0.3076	Ha/atom
total moment	14.00	μB per formula unit

a = 5.8946 Å, b = 5.8946 Å, c = 9.5489 Å
α = 89.79°, β = 89.79°, γ = 60.29°
Last column: nearest neighbours and their distance in Å.
Atoms (fractional coordinates):
Li 0.6668 0.6668 0.1097  4 O 1.98-2.03
Li 0.9962 0.9962 0.0053  3 O 1.78-1.95
Li 0.0004 0.0004 0.5016  4 O 1.78-1.98
Li 0.3331 0.3331 0.6066  4 O 1.98-1.99
Ti 0.3374 0.8317 0.7864  6 O 1.96-2.00
Ti 0.8317 0.3374 0.7864  6 O 1.96-2.00
Ti 0.1706 0.1706 0.2831  6 O 1.94-2.02
Cr 0.6674 0.6674 0.5140  6 O 2.04-2.06
Cr 0.8295 0.8295 0.7863  6 O 1.99-2.05
Cr 0.3362 0.3362 0.0163  6 O 2.03-2.10
Cr 0.1697 0.6613 0.2897  6 O 1.98-2.03
Cr 0.6613 0.1697 0.2897  6 O 1.98-2.03
O 0.3300 0.8375 0.3973  1 Li 1.96, 2 Cr 2.00-2.06, 1 Ti 2.02
O 0.5208 0.5208 0.6611  1 Li 1.98, 2 Ti 2.00, 1 Cr 2.05
O 0.6616 0.6616 0.8969  2 Ti 1.97, 1 Cr 2.01, 1 Li 2.03
O 0.0017 0.0017 0.6881  1 Li 1.78, 2 Ti 1.96, 1 Cr 1.99
O 0.0011 0.0011 0.1911  1 Li 1.78, 1 Ti 1.94, 2 Cr 1.98
O 0.8375 0.3300 0.3973  1 Li 1.96, 2 Cr 2.00-2.06, 1 Ti 2.02
O 0.5166 0.9592 0.6593  1 Li 1.98, 1 Ti 1.98, 2 Cr 2.02-2.04
O 0.9592 0.5166 0.6593  1 Li 1.98, 1 Ti 1.98, 2 Cr 2.02-2.04
O 0.1651 0.1651 0.8953  2 Ti 2.00, 1 Li 2.01, 1 Cr 2.10
O 0.8347 0.8347 0.3950  1 Li 1.98, 3 Cr 1.99-2.05
O 0.0408 0.4781 0.1600  1 Ti 1.97, 1 Li 1.98, 2 Cr 2.03-2.04
O 0.4781 0.0408 0.1600  1 Ti 1.97, 1 Li 1.98, 2 Cr 2.03-2.04
O 0.3292 0.3292 0.3980  1 Ti 1.96, 2 Cr 1.99, 1 Li 1.99
O 0.1713 0.6732 0.8971  1 Li 1.95, 1 Ti 1.96, 2 Cr 2.05-2.06
O 0.4787 0.4787 0.1642  1 Li 1.98, 3 Cr 1.99-2.03
O 0.6732 0.1713 0.8971  1 Li 1.95, 1 Ti 1.96, 2 Cr 2.05-2.06